(1)
The following is a PBE calculation of YH3S3O12 after structural relaxation, from Materials Project.

Computed properties:
The calculation puts the total energy at -6.26 eV/atom.

abc: 9.6230 12.1767 17.0164
angles: 90.00 90.00 90.00
Last column: nearest neighbours and their distance in Å.
Sites, in units of the cell vectors:
Y (0.8329, 0.6065, 0.2690)  8 O 2.33-2.42
Y (0.3329, 0.3935, 0.2310)  8 O 2.33-2.42
Y (0.6671, 0.1065, 0.7310)  8 O 2.33-2.42
Y (0.1671, 0.8935, 0.7690)  8 O 2.33-2.42
Y (0.1671, 0.3935, 0.7310)  8 O 2.33-2.42
Y (0.6671, 0.6065, 0.7690)  8 O 2.33-2.42
Y (0.3329, 0.8935, 0.2690)  8 O 2.33-2.42
Y (0.8329, 0.1065, 0.2310)  8 O 2.33-2.42
H (0.1008, 0.7600, 0.0705)  1 O 1.01
H (0.6008, 0.2400, 0.4295)  1 O 1.01
H (0.3992, 0.2600, 0.9295)  1 O 1.01
H (0.8992, 0.7400, 0.5705)  1 O 1.01
H (0.8992, 0.2400, 0.9295)  1 O 1.01
H (0.3992, 0.7600, 0.5705)  1 O 1.01
H (0.6008, 0.7400, 0.0705)  1 O 1.01
H (0.1008, 0.2600, 0.4295)  1 O 1.01
H (0.6180, 0.4203, 0.9973)  1 O 1.01
H (0.1180, 0.5797, 0.5027)  1 O 1.01
H (0.8820, 0.9203, 0.0027)  1 O 1.01
H (0.3820, 0.0797, 0.4973)  1 O 1.01
H (0.3820, 0.5797, 0.0027)  1 O 1.01
H (0.8820, 0.4203, 0.4973)  1 O 1.01
H (0.1180, 0.0797, 0.9973)  1 O 1.01
H (0.6180, 0.9203, 0.5027)  1 O 1.01
H (0.8785, 0.4216, 0.0558)  1 O 0.99
H (0.3785, 0.5784, 0.4442)  1 O 0.99
H (0.6215, 0.9216, 0.9442)  1 O 0.99
H (0.1215, 0.0784, 0.5558)  1 O 0.99
H (0.1215, 0.5784, 0.9442)  1 O 0.99
H (0.6215, 0.4216, 0.5558)  1 O 0.99
H (0.3785, 0.0784, 0.0558)  1 O 0.99
H (0.8785, 0.9216, 0.4442)  1 O 0.99
S (0.1696, 0.6584, 0.1659)  4 O 1.46-1.58
S (0.6696, 0.3416, 0.3341)  4 O 1.46-1.58
S (0.3304, 0.1584, 0.8341)  4 O 1.46-1.58
S (0.8304, 0.8416, 0.6659)  4 O 1.46-1.58
S (0.8304, 0.3416, 0.8341)  4 O 1.46-1.58
S (0.3304, 0.6584, 0.6659)  4 O 1.46-1.58
S (0.6696, 0.8416, 0.1659)  4 O 1.46-1.58
S (0.1696, 0.1584, 0.3341)  4 O 1.46-1.58
S (0.0928, 0.4838, 0.3976)  4 O 1.45-1.59
S (0.5928, 0.5162, 0.1024)  4 O 1.45-1.59
S (0.4072, 0.9838, 0.6024)  4 O 1.45-1.59
S (0.9072, 0.0162, 0.8976)  4 O 1.45-1.59
S (0.9072, 0.5162, 0.6024)  4 O 1.45-1.59
S (0.4072, 0.4838, 0.8976)  4 O 1.45-1.59
S (0.5928, 0.0162, 0.3976)  4 O 1.45-1.59
S (0.0928, 0.9838, 0.1024)  4 O 1.45-1.59
S (0.9829, 0.3636, 0.1593)  4 O 1.46-1.58
S (0.4829, 0.6364, 0.3407)  4 O 1.46-1.58
S (0.5171, 0.8636, 0.8407)  4 O 1.46-1.58
S (0.0171, 0.1364, 0.6593)  4 O 1.46-1.58
S (0.0171, 0.6364, 0.8407)  4 O 1.46-1.58
S (0.5171, 0.3636, 0.6593)  4 O 1.46-1.58
S (0.4829, 0.1364, 0.1593)  4 O 1.46-1.58
S (0.9829, 0.8636, 0.3407)  4 O 1.46-1.58
O (0.0357, 0.6663, 0.2067)  1 S 1.47
O (0.5357, 0.3337, 0.2933)  1 S 1.47
O (0.4643, 0.1663, 0.7933)  1 S 1.47
O (0.9643, 0.8337, 0.7067)  1 S 1.47
O (0.9643, 0.3337, 0.7933)  1 S 1.47
O (0.4643, 0.6663, 0.7067)  1 S 1.47
O (0.5357, 0.8337, 0.2067)  1 S 1.47
O (0.0357, 0.1663, 0.2933)  1 S 1.47
O (0.7687, 0.7597, 0.1938)  1 S 1.46
O (0.2687, 0.2403, 0.3062)  1 S 1.46
O (0.7313, 0.2597, 0.8062)  1 S 1.46
O (0.2313, 0.7403, 0.6938)  1 S 1.46
O (0.2313, 0.2403, 0.8062)  1 S 1.46
O (0.7313, 0.7597, 0.6938)  1 S 1.46
O (0.2687, 0.7403, 0.1938)  1 S 1.46
O (0.7687, 0.2597, 0.3062)  1 S 1.46
O (0.1415, 0.6842, 0.0763)  1 H 1.01
O (0.6415, 0.3158, 0.4237)  1 H 1.01
O (0.3585, 0.1842, 0.9237)  1 H 1.01
O (0.8585, 0.8158, 0.5763)  1 H 1.01
O (0.8585, 0.3158, 0.9237)  1 H 1.01
O (0.3585, 0.6842, 0.5763)  1 H 1.01
O (0.6415, 0.8158, 0.0763)  1 H 1.01
O (0.1415, 0.1842, 0.4237)  1 H 1.01
O (0.2269, 0.5477, 0.1641)  1 S 1.46
O (0.7269, 0.4523, 0.3359)  1 S 1.46
O (0.2731, 0.0477, 0.8359)  1 S 1.46
O (0.7731, 0.9523, 0.6641)  1 S 1.46
O (0.7731, 0.4523, 0.8359)  1 S 1.46
O (0.2731, 0.5477, 0.6641)  1 S 1.46
O (0.7269, 0.9523, 0.1641)  1 S 1.46
O (0.2269, 0.0477, 0.3359)  1 S 1.46
O (0.6965, 0.5460, 0.1605)  1 S 1.45
O (0.1965, 0.4540, 0.3395)  1 S 1.45
O (0.8035, 0.0460, 0.8395)  1 S 1.45
O (0.3035, 0.9540, 0.6605)  1 S 1.45
O (0.3035, 0.4540, 0.8395)  1 S 1.45
O (0.8035, 0.5460, 0.6605)  1 S 1.45
O (0.1965, 0.9540, 0.1605)  1 S 1.45
O (0.6965, 0.0460, 0.3395)  1 S 1.45
O (0.9870, 0.5600, 0.3694)  1 S 1.46
O (0.4870, 0.4400, 0.1306)  1 S 1.46
O (0.5130, 0.0600, 0.6306)  1 S 1.46
O (0.0130, 0.9400, 0.8694)  1 S 1.46
O (0.0130, 0.4400, 0.6306)  1 S 1.46
O (0.5130, 0.5600, 0.8694)  1 S 1.46
O (0.4870, 0.9400, 0.3694)  1 S 1.46
O (0.9870, 0.0600, 0.1306)  1 S 1.46
O (0.0302, 0.3886, 0.4380)  1 S 1.48
O (0.5302, 0.6114, 0.0620)  1 S 1.48
O (0.4698, 0.8886, 0.5620)  1 S 1.48
O (0.9698, 0.1114, 0.9380)  1 S 1.48
O (0.9698, 0.6114, 0.5620)  1 S 1.48
O (0.4698, 0.3886, 0.9380)  1 S 1.48
O (0.5302, 0.1114, 0.4380)  1 S 1.48
O (0.0302, 0.8886, 0.0620)  1 S 1.48
O (0.6816, 0.4504, 0.0390)  1 H 1.01
O (0.1816, 0.5496, 0.4610)  1 H 1.01
O (0.8184, 0.9504, 0.9610)  1 H 1.01
O (0.3184, 0.0496, 0.5390)  1 H 1.01
O (0.3184, 0.5496, 0.9610)  1 H 1.01
O (0.8184, 0.4504, 0.5390)  1 H 1.01
O (0.1816, 0.0496, 0.0390)  1 H 1.01
O (0.6816, 0.9504, 0.4610)  1 H 1.01
O (0.1301, 0.3353, 0.1675)  1 S 1.46
O (0.6301, 0.6647, 0.3325)  1 S 1.46
O (0.3699, 0.8353, 0.8325)  1 S 1.46
O (0.8699, 0.1647, 0.6675)  1 S 1.46
O (0.8699, 0.6647, 0.8325)  1 S 1.46
O (0.3699, 0.3353, 0.6675)  1 S 1.46
O (0.6301, 0.1647, 0.1675)  1 S 1.46
O (0.1301, 0.8353, 0.3325)  1 S 1.46
O (0.9391, 0.4453, 0.2174)  1 S 1.46
O (0.4391, 0.5547, 0.2826)  1 S 1.46
O (0.5609, 0.9453, 0.7826)  1 S 1.46
O (0.0609, 0.0547, 0.7174)  1 S 1.46
O (0.0609, 0.5547, 0.7826)  1 S 1.46
O (0.5609, 0.4453, 0.7174)  1 S 1.46
O (0.4391, 0.0547, 0.2174)  1 S 1.46
O (0.9391, 0.9453, 0.2826)  1 S 1.46
O (0.9758, 0.4177, 0.0748)  1 H 0.99
O (0.4758, 0.5823, 0.4252)  1 H 0.99
O (0.5242, 0.9177, 0.9252)  1 H 0.99
O (0.0242, 0.0823, 0.5748)  1 H 0.99
O (0.0242, 0.5823, 0.9252)  1 H 0.99
O (0.5242, 0.4177, 0.5748)  1 H 0.99
O (0.4758, 0.0823, 0.0748)  1 H 0.99
O (0.9758, 0.9177, 0.4252)  1 H 0.99
O (0.8918, 0.2676, 0.1568)  1 S 1.46
O (0.3918, 0.7324, 0.3432)  1 S 1.46
O (0.6082, 0.7676, 0.8432)  1 S 1.46
O (0.1082, 0.2324, 0.6568)  1 S 1.46
O (0.1082, 0.7324, 0.8432)  1 S 1.46
O (0.6082, 0.2676, 0.6568)  1 S 1.46
O (0.3918, 0.2324, 0.1568)  1 S 1.46
O (0.8918, 0.7676, 0.3432)  1 S 1.46

=====

(2)
The following is a PBE calculation of ZnH12S2O12 after structural relaxation, from Materials Project.

Computed properties:
The calculation puts the total energy at -5.19 eV/atom.

abc: 6.5409 6.7488 7.0223
angles: 101.81 96.43 94.65
Last column: nearest neighbours and their distance in Å.
Sites, in units of the cell vectors:
Zn (0.0000, 0.0000, 0.0000)  6 O 2.09-2.16
H (0.2021, 0.0668, 0.3896)  1 O 0.98
H (0.7979, 0.9332, 0.6104)  1 O 0.98
H (0.1827, 0.8313, 0.2933)  1 O 0.99
H (0.7011, 0.8473, 0.1805)  1 O 0.98
H (0.3911, 0.1827, 0.0426)  1 O 0.99
H (0.6089, 0.8173, 0.9574)  1 O 0.99
H (0.8158, 0.3237, 0.1711)  1 O 0.99
H (0.1842, 0.6763, 0.8289)  1 O 0.99
H (0.0570, 0.4023, 0.1897)  1 O 0.98
H (0.9430, 0.5977, 0.8103)  1 O 0.98
H (0.8173, 0.1687, 0.7067)  1 O 0.99
H (0.2989, 0.1527, 0.8195)  1 O 0.98
S (0.4934, 0.5464, 0.3584)  3 O 1.47
S (0.5066, 0.4536, 0.6416)  3 O 1.47
O (0.6415, 0.7296, 0.3940)  1 S 1.47
O (0.7236, 0.4171, 0.6880)  1 S 1.47
O (0.2764, 0.5829, 0.3120)  1 S 1.47
O (0.4451, 0.6299, 0.7760)  1 S 1.47
O (0.1234, 0.9595, 0.2856)  2 H 0.98-0.99
O (0.8766, 0.0405, 0.7144)  2 H 0.98-0.99
O (0.2939, 0.0934, 0.9360)  2 H 0.98-0.99
O (0.7061, 0.9066, 0.0640)  2 H 0.98-0.99
O (0.9456, 0.2995, 0.1153)  2 H 0.98-0.99
O (0.0544, 0.7005, 0.8847)  2 H 0.98-0.99
O (0.3585, 0.2704, 0.6060)  1 S 1.47
O (0.5549, 0.3701, 0.2240)  1 S 1.47

=====

(3)
The following is a PBE calculation of ZrH5S3O14 after structural relaxation, from Materials Project.

Computed properties:
The calculation puts the total energy at -6.06 eV/atom.

abc: 5.1861 9.0131 12.7367
angles: 87.13 89.71 85.76
Last column: nearest neighbours and their distance in Å.
Sites, in units of the cell vectors:
Zr (0.2131, 0.8939, 0.1793)  7 O 2.07-2.22
Zr (0.7869, 0.1061, 0.8207)  7 O 2.07-2.22
H (0.5962, 0.6750, 0.4625)  1 O 1.03
H (0.4038, 0.3250, 0.5375)  1 O 1.03
H (0.7344, 0.8309, 0.4816)  1 O 1.02
H (0.2656, 0.1691, 0.5184)  1 O 1.02
H (0.6086, 0.7389, 0.5827)  1 O 1.01
H (0.3914, 0.2611, 0.4173)  1 O 1.01
H (0.9031, 0.4271, 0.1942)  1 O 1.00
H (0.0969, 0.5729, 0.8058)  1 O 1.00
H (0.7128, 0.4655, 0.0980)  1 O 0.98
H (0.2872, 0.5345, 0.9020)  1 O 0.98
S (0.2476, 0.6196, 0.3028)  4 O 1.45-1.54
S (0.7524, 0.3804, 0.6972)  4 O 1.45-1.54
S (0.6982, 0.0553, 0.3206)  4 O 1.47-1.52
S (0.3018, 0.9447, 0.6794)  4 O 1.47-1.52
S (0.7169, 0.7997, 0.0036)  4 O 1.45-1.51
S (0.2831, 0.2003, 0.9964)  4 O 1.45-1.51
O (0.0737, 0.7630, 0.3155)  1 S 1.54
O (0.9263, 0.2370, 0.6845)  1 S 1.54
O (0.4345, 0.5950, 0.3887)  1 S 1.46, 1 H 1.51
O (0.5655, 0.4050, 0.6113)  1 S 1.46, 1 H 1.51
O (0.0996, 0.4913, 0.2919)  1 S 1.45
O (0.9004, 0.5087, 0.7081)  1 S 1.45
O (0.3828, 0.6644, 0.1999)  1 S 1.53
O (0.6172, 0.3356, 0.8001)  1 S 1.53
O (0.7515, 0.9962, 0.4282)  1 S 1.47, 1 H 1.61
O (0.2485, 0.0038, 0.5718)  1 S 1.47, 1 H 1.61
O (0.9385, 0.0488, 0.2553)  1 S 1.49
O (0.0615, 0.9512, 0.7447)  1 S 1.49
O (0.5829, 0.2089, 0.3190)  1 S 1.47
O (0.4171, 0.7911, 0.6810)  1 S 1.47
O (0.5150, 0.9565, 0.2690)  1 S 1.52
O (0.4850, 0.0435, 0.7310)  1 S 1.52
O (0.9075, 0.8376, 0.0853)  1 S 1.51
O (0.0925, 0.1624, 0.9147)  1 S 1.51
O (0.2284, 0.1144, 0.0949)  1 S 1.48
O (0.7716, 0.8856, 0.9051)  1 S 1.48
O (0.7328, 0.6404, 0.9884)  1 S 1.45
O (0.2672, 0.3596, 0.0116)  1 S 1.45
O (0.4535, 0.8513, 0.0409)  1 S 1.49
O (0.5465, 0.1487, 0.9591)  1 S 1.49
O (0.8084, 0.3821, 0.1371)  2 H 0.98-1.00
O (0.1916, 0.6179, 0.8629)  2 H 0.98-1.00
O (0.7069, 0.7281, 0.5142)  3 H 1.01-1.03
O (0.2931, 0.2719, 0.4858)  3 H 1.01-1.03

=====

| no. | DFT formation energy (eV per atom) |
| --- | --- |
| 1 | -2.0348 |
| 2 | -1.4341 |
| 3 | -1.8221 |